DFT (GGA+U) results for Ni3P4O16 after structural relaxation.

```
Ni3P4O16
1.0
9.4165 -3.1857 0.0000
9.4165 3.1857 0.0000
-0.2783 0.0000 10.6467
Ni P O
6 8 32
direct
0.0000 0.5000 0.0000
0.1344 0.1728 0.2516
0.1728 0.1344 0.7516
0.5000 0.0000 0.5000
0.8272 0.8656 0.2484
0.8656 0.8272 0.7484
0.0853 0.7471 0.0063
0.2529 0.9147 0.4937
0.2808 0.3163 0.2542
0.3163 0.2808 0.7542
0.6837 0.7192 0.2458
0.7192 0.6837 0.7458
0.7471 0.0853 0.5063
0.9147 0.2529 0.9937
0.0254 0.1341 0.1211
0.0863 0.0886 0.8875
0.0886 0.0863 0.3875
0.1341 0.0254 0.6211
0.1406 0.5530 0.2814
0.1687 0.5343 0.0071
0.1796 0.5141 0.7248
0.1925 0.2885 0.1439
0.2257 0.2616 0.8624
0.2616 0.2257 0.3624
0.2756 0.6953 0.0358
0.2885 0.1925 0.6439
0.3047 0.7244 0.4642
0.4470 0.8594 0.2186
0.4657 0.8313 0.4929
0.4859 0.8204 0.7752
0.5141 0.1796 0.2248
0.5343 0.1687 0.5071
0.5530 0.1406 0.7814
0.6953 0.2756 0.5358
0.7115 0.8075 0.3561
0.7244 0.3047 0.9642
0.7384 0.7743 0.6376
0.7743 0.7384 0.1376
0.8075 0.7115 0.8561
0.8204 0.4859 0.2752
0.8313 0.4657 0.9929
0.8594 0.4470 0.7186
0.8659 0.9746 0.3789
0.9114 0.9137 0.6125
0.9137 0.9114 0.1125
0.9746 0.8659 0.8789
```

Values from the calculation:
Raw total energy (eV per atom): -6.0092
Energy above the lowest structure with this stoichiometry (eV per atom): 0.1138
Spin magnetization (μB/atom): 0.012
Energy of formation (kcal/mol of atoms): -38.77

DFT (GGA+U) results for CaY5Mo2O12 after structural relaxation.

```
CaY5Mo2O12
1.0
5.9739 0.0000 0.0000
-2.6340 6.5436 0.0000
-0.0989 -2.1601 7.1692
Ca Y Mo O
1 5 2 12
direct
0.0000 0.0000 0.0000
0.1422 0.3387 0.8192
0.1460 0.3361 0.3388
0.5234 0.0776 0.4950
0.5346 0.0920 0.0245
0.7457 0.6339 0.1668
0.0737 0.6952 0.6636
0.5944 0.6902 0.6663
0.2538 0.0376 0.7658
0.2712 0.0467 0.2469
0.3432 0.7072 0.4702
0.3455 0.6985 0.8613
0.3944 0.3756 0.0878
0.4052 0.3680 0.5905
0.7415 0.9871 0.2241
0.7458 0.0192 0.7692
0.8128 0.6870 0.4657
0.8241 0.6628 0.8718
0.9062 0.3697 0.0986
0.9174 0.3469 0.5744
```

Values from the calculation:
Raw total energy (eV per atom): -8.2265
Energy above the lowest structure with this stoichiometry (eV per atom): 0.0387
Spin magnetization (μB/atom): 0.050
Energy of formation (kcal/mol of atoms): -73.53

What did the first record say?
DFT (GGA+U) results for Ni3P4O16 after structural relaxation.

```
Ni3P4O16
1.0
9.4165 -3.1857 0.0000
9.4165 3.1857 0.0000
-0.2783 0.0000 10.6467
Ni P O
6 8 32
direct
0.0000 0.5000 0.0000
0.1344 0.1728 0.2516
0.1728 0.1344 0.7516
0.5000 0.0000 0.5000
0.8272 0.8656 0.2484
0.8656 0.8272 0.7484
0.0853 0.7471 0.0063
0.2529 0.9147 0.4937
0.2808 0.3163 0.2542
0.3163 0.2808 0.7542
0.6837 0.7192 0.2458
0.7192 0.6837 0.7458
0.7471 0.0853 0.5063
0.9147 0.2529 0.9937
0.0254 0.1341 0.1211
0.0863 0.0886 0.8875
0.0886 0.0863 0.3875
0.1341 0.0254 0.6211
0.1406 0.5530 0.2814
0.1687 0.5343 0.0071
0.1796 0.5141 0.7248
0.1925 0.2885 0.1439
0.2257 0.2616 0.8624
0.2616 0.2257 0.3624
0.2756 0.6953 0.0358
0.2885 0.1925 0.6439
0.3047 0.7244 0.4642
0.4470 0.8594 0.2186
0.4657 0.8313 0.4929
0.4859 0.8204 0.7752
0.5141 0.1796 0.2248
0.5343 0.1687 0.5071
0.5530 0.1406 0.7814
0.6953 0.2756 0.5358
0.7115 0.8075 0.3561
0.7244 0.3047 0.9642
0.7384 0.7743 0.6376
0.7743 0.7384 0.1376
0.8075 0.7115 0.8561
0.8204 0.4859 0.2752
0.8313 0.4657 0.9929
0.8594 0.4470 0.7186
0.8659 0.9746 0.3789
0.9114 0.9137 0.6125
0.9137 0.9114 0.1125
0.9746 0.8659 0.8789
```

Values from the calculation:
Raw total energy (eV per atom): -6.0092
Energy above the lowest structure with this stoichiometry (eV per atom): 0.1138
Spin magnetization (μB/atom): 0.012
Energy of formation (kcal/mol of atoms): -38.77